# 1
GaSb | the Materials Project | PBE-GGA | optimized geometry; ΔE_f = 35 meV per atom; energy above the lowest structure with this stoichiometry = 0.287 eV per atom; size of the total moment = 0.00 Bohr magnetons per cell; volume = 55 Å³/f.u.
1.0
14.316 -0.148 -0.072
-0.134 13.457 -0.042
-0.070 -0.032 14.248
Sb Ga
50 50
Direct
0.546 0.042 0.544
0.282 0.465 0.162
0.790 0.249 0.668
0.860 0.118 0.164
0.609 0.925 0.283
0.541 0.503 0.631
0.428 0.812 0.339
0.837 0.020 0.504
0.956 0.799 0.072
0.147 0.016 0.627
0.294 0.298 0.636
0.371 0.549 0.733
0.089 0.219 0.175
0.094 0.660 0.501
0.711 0.340 0.505
0.190 0.177 0.499
0.694 0.589 0.414
0.979 0.055 0.361
0.243 0.829 0.572
0.240 0.767 0.961
0.970 0.447 0.127
0.285 0.967 0.050
0.765 0.552 0.153
0.271 0.137 0.223
0.291 0.207 0.010
0.701 0.992 0.721
0.130 0.556 0.736
0.429 0.663 0.902
0.917 0.813 0.647
0.720 0.047 0.023
0.493 0.975 0.065
0.484 0.159 0.177
0.471 0.169 0.693
0.423 0.737 0.619
0.477 0.344 0.370
0.871 0.882 0.244
0.670 0.135 0.268
0.373 0.372 0.869
0.912 0.541 0.490
0.866 0.689 0.821
0.040 0.037 0.064
0.021 0.351 0.497
0.017 0.131 0.758
0.442 0.852 0.795
0.638 0.641 0.876
0.562 0.504 0.153
0.637 0.882 0.885
0.189 0.605 0.287
0.653 0.431 0.798
0.279 0.330 0.322
0.671 0.241 0.962
0.307 0.659 0.441
0.856 0.284 0.024
0.892 0.480 0.942
0.108 0.342 0.699
0.717 0.858 0.438
0.540 0.840 0.494
0.486 0.236 0.981
0.101 0.987 0.874
0.176 0.357 0.888
0.845 0.885 0.926
0.140 0.375 0.063
0.820 0.342 0.228
0.715 0.441 0.988
0.470 0.133 0.381
0.765 0.709 0.023
0.552 0.670 0.273
0.412 0.067 0.900
0.230 0.870 0.375
0.419 0.489 0.022
0.026 0.909 0.501
0.363 0.446 0.510
0.894 0.109 0.935
0.874 0.751 0.428
0.959 0.261 0.324
0.642 0.204 0.784
0.941 0.550 0.686
0.529 0.304 0.558
0.181 0.750 0.148
0.101 0.757 0.694
0.638 0.686 0.571
0.949 0.176 0.577
0.179 0.474 0.542
0.842 0.416 0.762
0.979 0.595 0.292
0.708 0.768 0.719
0.128 0.924 0.209
0.889 0.973 0.767
0.308 0.043 0.407
0.274 0.945 0.838
0.057 0.797 0.879
0.048 0.792 0.342
0.065 0.620 0.073
0.648 0.316 0.147
0.036 0.595 0.896
0.485 0.577 0.433
0.986 0.314 0.865
0.700 0.864 0.119
0.733 0.727 0.267
0.691 0.146 0.461


# 2
GaSb | the Materials Project | PBE-GGA | optimized geometry; ΔE_f = -59 meV per atom; energy above the lowest structure with this stoichiometry = 0.194 eV per atom; size of the total moment = 0.00 Bohr magnetons per cell; volume = 48 Å³/f.u.
1.0
3.276 -2.609 -0.640
-0.133 -0.728 4.171
-2.433 -0.836 -3.366
Ga Sb
1 1
Direct
0.000 0.000 0.000
0.500 0.500 0.000